(1)
Computed, not measured: a relaxed Ce7Ge2Pd4 crystal at the GGA-PBE level of DFT.

Output
The energy of formation comes out at -0.469 eV per atom.

Cell and atoms, written as CIF:
```
data_Ce7Ge2Pd4
_space_group_name_H-M_alt 'P 1'
_space_group_IT_number 1
_space_group_name_Hall 'P 1'
_cell_length_a 8.1886
_cell_length_b 11.1877
_cell_length_c 14.4255
_cell_angle_alpha 90.05
_cell_angle_beta 90.03
_cell_angle_gamma 110.62
loop_
_atom_site_label
_atom_site_type_symbol
_atom_site_fract_x
_atom_site_fract_y
_atom_site_fract_z
Ce1 Ce 0.0000 0.0000 0.0000
Ce2 Ce 0.0033 0.4644 0.2621
Ce3 Ce 0.0264 0.0470 0.3992
Ce4 Ce 0.0683 0.7185 0.1430
Ce5 Ce 0.1110 0.3744 0.0348
Ce6 Ce 0.2009 0.2140 0.7487
Ce7 Ce 0.2546 0.5193 0.6756
Ce8 Ce 0.3453 0.3599 0.3886
Ce9 Ce 0.3893 0.0151 0.2808
Ce10 Ce 0.4316 0.6882 0.0252
Ce11 Ce 0.4539 0.2684 0.1622
Ce12 Ce 0.4570 0.7328 0.4242
Ce13 Ce 0.4756 0.0082 0.0338
Ce14 Ce 0.4818 0.2255 0.5338
Ce15 Ce 0.4995 0.5003 0.9242
Ce16 Ce 0.5033 0.9644 0.6624
Ce17 Ce 0.5245 0.5454 0.5254
Ce18 Ce 0.5674 0.2187 0.7813
Ce19 Ce 0.6116 0.8741 0.8894
Ce20 Ce 0.7004 0.7134 0.1754
Ce21 Ce 0.7549 0.0196 0.2481
Ce22 Ce 0.8452 0.8582 0.5361
Ce23 Ce 0.8911 0.5158 0.6439
Ce24 Ce 0.9328 0.1879 0.8994
Ce25 Ce 0.9539 0.7678 0.7619
Ce26 Ce 0.9573 0.2344 0.5007
Ce27 Ce 0.9761 0.5082 0.8903
Ce28 Ce 0.9819 0.7246 0.3903
Ge1 Ge 0.1655 0.7916 0.9485
Ge2 Ge 0.1761 0.7458 0.5842
Ge3 Ge 0.2805 0.9871 0.8402
Ge4 Ge 0.2916 0.9414 0.4755
Ge5 Ge 0.6657 0.2916 0.9756
Ge6 Ge 0.6765 0.2462 0.3402
Ge7 Ge 0.7808 0.4870 0.0839
Ge8 Ge 0.7919 0.4419 0.4489
Pd1 Pd 0.0780 0.9763 0.1915
Pd2 Pd 0.1046 0.2374 0.2349
Pd3 Pd 0.1325 0.5225 0.4740
Pd4 Pd 0.1567 0.0159 0.6189
Pd5 Pd 0.3004 0.7172 0.8055
Pd6 Pd 0.3245 0.2106 0.9504
Pd7 Pd 0.3528 0.4960 0.1891
Pd8 Pd 0.3795 0.7572 0.2326
Pd9 Pd 0.5779 0.4762 0.7324
Pd10 Pd 0.6043 0.7370 0.6894
Pd11 Pd 0.6327 0.0226 0.4504
Pd12 Pd 0.6566 0.5158 0.3057
Pd13 Pd 0.8008 0.2177 0.1185
Pd14 Pd 0.8248 0.7109 0.9737
Pd15 Pd 0.8532 0.9960 0.7352
Pd16 Pd 0.8797 0.2574 0.6917
```



(2)
Computed, not measured: a relaxed GaI2 crystal at the GGA-PBE level of DFT.

Output
The energy of formation comes out at -0.728 eV per atom.

Cell and atoms, written as CIF:
```
data_GaI2
_space_group_name_H-M_alt 'R 3 c'
_space_group_IT_number 161
_space_group_name_Hall 'R 3 -2"c'
_cell_length_a 27.0631
_cell_length_b 27.0631
_cell_length_c 7.7959
_cell_angle_alpha 90.00
_cell_angle_beta 90.00
_cell_angle_gamma 120.00
loop_
_atom_site_label
_atom_site_type_symbol
_atom_site_fract_x
_atom_site_fract_y
_atom_site_fract_z
Ga1 Ga 0.9997 0.1901 0.0000
Ga2 Ga 0.1578 0.0032 0.5058
I1 I 0.9996 0.0988 0.1112
I2 I 0.0018 0.2514 0.2576
I3 I 0.0870 0.2463 0.8030
I4 I 0.1752 0.4184 0.4799
```



(3)
Computed, not measured: a relaxed Mg14ZnCu crystal at the GGA-PBE level of DFT.

Output
The energy of formation comes out at 0.012 eV per atom.

Cell and atoms, written as CIF:
```
data_Mg14ZnCu
_space_group_name_H-M_alt 'A m m 2'
_space_group_IT_number 38
_space_group_name_Hall 'A 2 -2'
_cell_length_a 9.9642
_cell_length_b 6.3117
_cell_length_c 10.8371
_cell_angle_alpha 90.00
_cell_angle_beta 90.00
_cell_angle_gamma 90.00
loop_
_atom_site_label
_atom_site_type_symbol
_atom_site_fract_x
_atom_site_fract_y
_atom_site_fract_z
Mg1 Mg 0.0000 0.0000 0.0000
Mg2 Mg 0.0000 0.0000 0.4995
Mg3 Mg 0.0000 0.2493 0.2519
Mg4 Mg 0.2528 0.0000 0.6661
Mg5 Mg 0.2567 0.0000 0.1647
Mg6 Mg 0.2689 0.2480 0.9220
Mg7 Mg 0.5000 0.2495 0.7441
Zn1 Zn 0.5000 0.0000 0.5047
Cu1 Cu 0.5000 0.0000 0.0056
```



(4)
Computed, not measured: a relaxed MnGeN2 crystal at the GGA-PBE level of DFT.

Output
For the maximum piezoelectric response, the calculation gives 0.8 C/m2. The energy of formation comes out at -0.224 eV per atom.

Cell and atoms, written as CIF:
```
data_MnGeN2
_space_group_name_H-M_alt 'P n a 21'
_space_group_IT_number 33
_space_group_name_Hall 'P 2c -2n'
_cell_length_a 5.5599
_cell_length_b 6.6995
_cell_length_c 5.3170
_cell_angle_alpha 90.00
_cell_angle_beta 90.00
_cell_angle_gamma 90.00
loop_
_atom_site_label
_atom_site_type_symbol
_atom_site_fract_x
_atom_site_fract_y
_atom_site_fract_z
Mn1 Mn 0.0814 0.1240 0.0000
Ge1 Ge 0.0720 0.6254 0.0029
N1 N 0.0604 0.6055 0.3575
N2 N 0.1028 0.1457 0.4006
```



(5)
Computed, not measured: a relaxed Sm2InPd2 crystal at the GGA-PBE level of DFT.

Output
The energy of formation comes out at -0.834 eV per atom.

Cell and atoms, written as CIF:
```
data_Sm2InPd2
_space_group_name_H-M_alt 'P 4/m b m'
_space_group_IT_number 127
_space_group_name_Hall '-P 4 2ab'
_cell_length_a 7.8178
_cell_length_b 7.8178
_cell_length_c 3.8360
_cell_angle_alpha 90.00
_cell_angle_beta 90.00
_cell_angle_gamma 90.00
loop_
_atom_site_label
_atom_site_type_symbol
_atom_site_fract_x
_atom_site_fract_y
_atom_site_fract_z
Sm1 Sm 0.1751 0.3249 0.0000
In1 In 0.0000 0.0000 0.5000
Pd1 Pd 0.1270 0.6270 0.5000
```



(6)
Computed, not measured: a relaxed GdP2H9O11 crystal at the GGA-PBE level of DFT.

Output
The energy of formation comes out at -2.016 eV per atom.

Cell and atoms, written as CIF:
```
data_GdP2H9O11
_space_group_name_H-M_alt 'P 1 21/c 1'
_space_group_IT_number 14
_space_group_name_Hall '-P 2ybc'
_cell_length_a 6.7288
_cell_length_b 11.4840
_cell_length_c 13.5254
_cell_angle_alpha 90.00
_cell_angle_beta 117.47
_cell_angle_gamma 90.00
loop_
_atom_site_label
_atom_site_type_symbol
_atom_site_fract_x
_atom_site_fract_y
_atom_site_fract_z
Gd1 Gd 0.0885 0.0831 0.3407
P1 P 0.1847 0.6324 0.6628
P2 P 0.3968 0.0494 0.6428
H1 H 0.0549 0.6653 0.9262
H2 H 0.1558 0.6004 0.4083
H3 H 0.1979 0.1599 0.8087
H4 H 0.2553 0.7148 0.3854
H5 H 0.2678 0.0107 0.0770
H6 H 0.2781 0.2116 0.0581
H7 H 0.2946 0.6197 0.0124
H8 H 0.4026 0.2314 0.8137
H9 H 0.4585 0.1539 0.1690
O1 O 0.0447 0.5542 0.6963
O2 O 0.1014 0.7449 0.1285
O3 O 0.1526 0.6503 0.3489
O4 O 0.1847 0.6210 0.9327
O5 O 0.2299 0.5771 0.5680
O6 O 0.2510 0.0041 0.6934
O7 O 0.2652 0.1206 0.5363
O8 O 0.2702 0.2367 0.8257
O9 O 0.3284 0.1371 0.0984
O10 O 0.4332 0.6473 0.7689
O11 O 0.4572 0.0465 0.3688
```



(7)
Computed, not measured: a relaxed Tl4HgBr6 crystal at the GGA-PBE level of DFT.

Output
The energy of formation comes out at -1.054 eV per atom.

Cell and atoms, written as CIF:
```
data_Tl4HgBr6
_space_group_name_H-M_alt 'P 4/m n c'
_space_group_IT_number 128
_space_group_name_Hall '-P 4 2n'
_cell_length_a 9.1119
_cell_length_b 9.1119
_cell_length_c 9.1344
_cell_angle_alpha 90.00
_cell_angle_beta 90.00
_cell_angle_gamma 90.00
loop_
_atom_site_label
_atom_site_type_symbol
_atom_site_fract_x
_atom_site_fract_y
_atom_site_fract_z
Tl1 Tl 0.1530 0.3470 0.2500
Hg1 Hg 0.0000 0.0000 0.0000
Br1 Br 0.0000 0.0000 0.2842
Br2 Br 0.1370 0.6859 0.0000
```



(8)
Computed, not measured: a relaxed ThTc3 crystal at the GGA-PBE level of DFT.

Output
The energy of formation comes out at 0.269 eV per atom.

Cell and atoms, written as CIF:
```
data_ThTc3
_space_group_name_H-M_alt 'C 1 2/m 1'
_space_group_IT_number 12
_space_group_name_Hall '-C 2y'
_cell_length_a 6.6328
_cell_length_b 6.5582
_cell_length_c 4.6865
_cell_angle_alpha 90.00
_cell_angle_beta 134.82
_cell_angle_gamma 90.00
loop_
_atom_site_label
_atom_site_type_symbol
_atom_site_fract_x
_atom_site_fract_y
_atom_site_fract_z
Th1 Th 0.0000 0.0000 0.0000
Tc1 Tc 0.0000 0.2498 0.5000
Tc2 Tc 0.0000 0.5000 0.0000
```



- energy of formation of number 8 (ThTc3)?
  0.269 eV per atom



- Look up the energy of formation of the second one.
  -0.728 eV per atom